# 1
Computed, not measured: crystalline MgFe4H4O8 at its relaxed geometry at the PBE with a Hubbard U level of DFT.

Geometry as CIF:
```
data_MgFe4H4O8
_chemical_formula_sum 'Mg1 Fe4 H4 O8'
_cell_length_a 7.960
_cell_length_b 7.775
_cell_length_c 8.841
_cell_angle_alpha 104.65
_cell_angle_beta 83.04
_cell_angle_gamma 156.63
_space_group_name_H-M_alt 'P 1'
_space_group_IT_number 1
_space_group_name_Hall 'P 1'
loop_
_atom_site_label
_atom_site_type_symbol
_atom_site_fract_x
_atom_site_fract_y
_atom_site_fract_z
Mg1 Mg 0.500 0.000 0.000
Fe1 Fe 0.280 0.755 0.313
Fe2 Fe 0.720 0.245 0.687
Fe3 Fe 0.219 0.419 0.545
Fe4 Fe 0.781 0.581 0.455
H1 H 0.907 0.689 0.971
H2 H 0.093 0.311 0.029
H3 H 0.056 0.000 0.256
H4 H 0.944 0.000 0.744
O1 O 0.897 0.551 0.942
O2 O 0.103 0.449 0.058
O3 O 0.158 0.109 0.372
O4 O 0.842 0.891 0.628
O5 O 0.603 0.902 0.449
O6 O 0.397 0.098 0.551
O7 O 0.312 0.694 0.745
O8 O 0.688 0.306 0.255
```

Space-group type: No. 2
M_tot in μB per formula unit: 18.0
Density in Mg/m³: 3.1
DFT total energy in eV/f.u.: -100.96
Energy above the lowest structure with this stoichiometry in meV/atom: 0
E (MP2020) in Ry per atom: -0.4993

---

# 2
Computed, not measured: crystalline MoPO5 at its relaxed geometry at the PBE with a Hubbard U level of DFT.

Geometry as CIF:
```
data_MoPO5
_chemical_formula_sum 'Mo4 P4 O20'
_cell_length_a 10.354
_cell_length_b 9.042
_cell_length_c 7.151
_cell_angle_alpha 78.53
_cell_angle_beta 58.86
_cell_angle_gamma 42.60
_space_group_name_H-M_alt 'P 1'
_space_group_IT_number 1
_space_group_name_Hall 'P 1'
loop_
_atom_site_label
_atom_site_type_symbol
_atom_site_fract_x
_atom_site_fract_y
_atom_site_fract_z
Mo1 Mo 0.878 0.383 0.394
Mo2 Mo 0.346 0.394 0.383
Mo3 Mo 0.867 0.372 0.904
Mo4 Mo 0.856 0.904 0.372
P1 P 0.030 0.540 0.968
P2 P 0.710 0.220 0.788
P3 P 0.462 0.968 0.540
P4 P 0.282 0.788 0.220
O1 O 0.601 0.722 0.440
O2 O 0.659 0.177 0.337
O3 O 0.306 0.651 0.397
O4 O 0.810 0.013 0.649
O5 O 0.218 0.101 0.746
O6 O 0.434 0.106 0.363
O7 O 0.073 0.591 0.424
O8 O 0.826 0.337 0.177
O9 O 0.913 0.424 0.591
O10 O 0.149 0.032 0.315
O11 O 0.237 0.440 0.722
O12 O 0.504 0.315 0.032
O13 O 0.935 0.746 0.101
O14 O 0.144 0.816 0.153
O15 O 0.097 0.363 0.106
O16 O 0.887 0.153 0.816
O17 O 0.853 0.603 0.944
O18 O 0.647 0.397 0.651
O19 O 0.528 0.649 0.013
O20 O 0.599 0.944 0.603
```

Space-group type: No. 43
M_tot in μB per formula unit: 1.0
Density in Mg/m³: 3.7
DFT total energy in eV/f.u.: -50.36
Energy above the lowest structure with this stoichiometry in meV/atom: 70
E (MP2020) in Ry per atom: -0.5985

---

# 3
Computed, not measured: crystalline NiSb2H12O6F8 at its relaxed geometry at the PBE with a Hubbard U level of DFT.

Geometry as CIF:
```
data_NiSb2H12O6F8
_chemical_formula_sum 'Ni2 Sb4 H24 O12 F16'
_cell_length_a 18.271
_cell_length_b 5.040
_cell_length_c 7.690
_cell_angle_alpha 61.12
_cell_angle_beta 90.00
_cell_angle_gamma 90.00
_space_group_name_H-M_alt 'P 1'
_space_group_IT_number 1
_space_group_name_Hall 'P 1'
loop_
_atom_site_label
_atom_site_type_symbol
_atom_site_fract_x
_atom_site_fract_y
_atom_site_fract_z
Ni1 Ni 0.500 0.500 0.000
Ni2 Ni 0.000 0.500 0.500
Sb1 Sb 0.716 0.875 0.524
Sb2 Sb 0.216 0.125 0.976
Sb3 Sb 0.284 0.125 0.476
Sb4 Sb 0.784 0.875 0.024
H1 H 0.623 0.237 0.968
H2 H 0.123 0.763 0.532
H3 H 0.377 0.763 0.032
H4 H 0.877 0.237 0.468
H5 H 0.611 0.711 0.145
H6 H 0.111 0.289 0.355
H7 H 0.389 0.289 0.855
H8 H 0.889 0.711 0.645
H9 H 0.589 0.373 0.296
H10 H 0.089 0.627 0.204
H11 H 0.411 0.627 0.704
H12 H 0.911 0.373 0.796
H13 H 0.555 0.946 0.667
H14 H 0.055 0.054 0.833
H15 H 0.445 0.054 0.333
H16 H 0.945 0.946 0.167
H17 H 0.560 0.226 0.831
H18 H 0.060 0.774 0.669
H19 H 0.440 0.774 0.169
H20 H 0.940 0.226 0.331
H21 H 0.475 0.041 0.689
H22 H 0.975 0.959 0.811
H23 H 0.525 0.959 0.311
H24 H 0.025 0.041 0.189
O1 O 0.581 0.355 0.883
O2 O 0.081 0.645 0.617
O3 O 0.419 0.645 0.117
O4 O 0.919 0.355 0.383
O5 O 0.569 0.565 0.191
O6 O 0.069 0.435 0.309
O7 O 0.431 0.435 0.809
O8 O 0.931 0.565 0.691
O9 O 0.521 0.958 0.764
O10 O 0.021 0.042 0.736
O11 O 0.479 0.042 0.236
O12 O 0.979 0.958 0.264
F1 F 0.819 0.955 0.614
F2 F 0.319 0.045 0.886
F3 F 0.181 0.045 0.386
F4 F 0.681 0.955 0.114
F5 F 0.599 0.975 0.461
F6 F 0.099 0.025 0.039
F7 F 0.401 0.025 0.539
F8 F 0.901 0.975 0.961
F9 F 0.686 0.924 0.757
F10 F 0.186 0.076 0.743
F11 F 0.314 0.076 0.243
F12 F 0.814 0.924 0.257
F13 F 0.780 0.317 0.853
F14 F 0.280 0.683 0.647
F15 F 0.220 0.683 0.147
F16 F 0.720 0.317 0.353
```

Space-group type: No. 14
M_tot in μB per formula unit: 2.0
Density in Mg/m³: 3.0
DFT total energy in eV/f.u.: -140.91
E (MP2020) in Ry per atom: -0.3834

---

# 4
Computed, not measured: crystalline CaCdW2O8 at its relaxed geometry at the PBE with a Hubbard U level of DFT.

Geometry as CIF:
```
data_CaCdW2O8
_chemical_formula_sum 'Ca1 Cd1 W2 O8'
_cell_length_a 6.797
_cell_length_b 6.797
_cell_length_c 6.797
_cell_angle_alpha 133.85
_cell_angle_beta 133.85
_cell_angle_gamma 67.32
_space_group_name_H-M_alt 'P 1'
_space_group_IT_number 1
_space_group_name_Hall 'P 1'
loop_
_atom_site_label
_atom_site_type_symbol
_atom_site_fract_x
_atom_site_fract_y
_atom_site_fract_z
Ca1 Ca 0.250 0.750 0.500
Cd1 Cd 0.000 0.000 0.000
W1 W 0.750 0.250 0.500
W2 W 0.500 0.500 0.000
O1 O 0.905 0.007 0.589
O2 O 0.418 0.316 0.411
O3 O 0.568 0.653 0.398
O4 O 0.255 0.169 0.602
O5 O 0.347 0.745 0.914
O6 O 0.831 0.432 0.086
O7 O 0.684 0.095 0.102
O8 O 0.993 0.582 0.898
```

Space-group type: No. 82
M_tot in μB per formula unit: 0.0
Density in Mg/m³: 6.7
DFT total energy in eV/f.u.: -81.83
E (MP2020) in Ry per atom: -0.5892

---

# 5
Computed, not measured: crystalline SrCaCo2O6 at its relaxed geometry at the PBE with a Hubbard U level of DFT.

Geometry as CIF:
```
data_SrCaCo2O6
_chemical_formula_sum 'Sr4 Ca4 Co8 O24'
_cell_length_a 7.659
_cell_length_b 7.659
_cell_length_c 7.657
_cell_angle_alpha 90.00
_cell_angle_beta 90.00
_cell_angle_gamma 90.00
_space_group_name_H-M_alt 'P 1'
_space_group_IT_number 1
_space_group_name_Hall 'P 1'
loop_
_atom_site_label
_atom_site_type_symbol
_atom_site_fract_x
_atom_site_fract_y
_atom_site_fract_z
Sr1 Sr 0.500 0.000 0.500
Sr2 Sr 0.000 0.000 0.500
Sr3 Sr 0.000 0.500 0.500
Sr4 Sr 0.500 0.500 0.000
Ca1 Ca 0.500 0.000 0.000
Ca2 Ca 0.000 0.000 0.000
Ca3 Ca 0.500 0.500 0.500
Ca4 Ca 0.000 0.500 0.000
Co1 Co 0.750 0.250 0.751
Co2 Co 0.250 0.250 0.751
Co3 Co 0.750 0.250 0.249
Co4 Co 0.250 0.250 0.249
Co5 Co 0.750 0.750 0.751
Co6 Co 0.250 0.750 0.751
Co7 Co 0.750 0.750 0.249
Co8 Co 0.250 0.750 0.249
O1 O 0.750 0.000 0.753
O2 O 0.250 0.000 0.753
O3 O 0.750 0.000 0.247
O4 O 0.250 0.000 0.247
O5 O 0.750 0.500 0.750
O6 O 0.250 0.500 0.750
O7 O 0.750 0.500 0.250
O8 O 0.250 0.500 0.250
O9 O 0.749 0.251 0.500
O10 O 0.251 0.251 0.500
O11 O 0.751 0.249 0.000
O12 O 0.249 0.249 0.000
O13 O 0.749 0.749 0.500
O14 O 0.251 0.749 0.500
O15 O 0.751 0.751 0.000
O16 O 0.249 0.751 0.000
O17 O 0.500 0.250 0.750
O18 O 0.000 0.250 0.753
O19 O 0.500 0.250 0.250
O20 O 0.000 0.250 0.247
O21 O 0.500 0.750 0.750
O22 O 0.000 0.750 0.753
O23 O 0.500 0.750 0.250
O24 O 0.000 0.750 0.247
```

Space-group type: No. 123
M_tot in μB per formula unit: 6.1
Density in Mg/m³: 5.1
DFT total energy in eV/f.u.: -59.56
E (MP2020) in Ry per atom: -0.4921

---

Question: Which formula does entry 3 have?
Answer: NiSb2H12O6F8

---

Question: What is the formula in the first record?
Answer: MgFe4H4O8